# Sr4LiMn2Ga2O11 PBE+U relaxed
# M_tot: 7.0 μB per cell
# E above lowest polymorph: 0.1 kJ per mole of atoms
# ΔH_f (0 K): -2.49 eV per atom
data_Sr4LiMn2Ga2O11
_symmetry_space_group_name_H-M 'P 1'
_symmetry_Int_Tables_number 1
_cell_length_a 5.759
_cell_length_b 6.151
_cell_length_c 8.463
_cell_angle_alpha 108.86
_cell_angle_beta 105.78
_cell_angle_gamma 98.29
loop_
_symmetry_equiv_pos_as_xyz
'x,y,z'
loop_
_atom_site_label
_atom_site_fract_x
_atom_site_fract_y
_atom_site_fract_z
Sr1 0.000 0.000 0.000
Sr2 0.177 0.384 0.497
Sr3 0.356 0.528 0.966
Sr4 0.721 0.845 0.512
Li1 0.777 0.319 0.979
Mn1 0.341 0.944 0.745
Mn2 0.766 0.468 0.732
Ga1 0.065 0.732 0.253
Ga2 0.604 0.123 0.241
O1 0.076 0.415 0.194
O2 0.097 0.700 0.773
O3 0.154 0.800 0.502
O4 0.347 0.881 0.220
O5 0.470 0.242 0.712
O6 0.498 0.143 0.014
O7 0.581 0.718 0.722
O8 0.684 0.379 0.455
O9 0.821 0.615 0.984
O10 0.873 0.976 0.279
O11 0.948 0.234 0.767

# MgW2O4 PBE+U relaxed
# M_tot: 24.0 μB per cell
# E above lowest polymorph: 14.7 kJ per mole of atoms
# ΔH_f (0 K): -1.76 eV per atom
data_MgW2O4
_symmetry_space_group_name_H-M 'C 1 2/m 1'
_symmetry_Int_Tables_number 12
_cell_length_a 15.567
_cell_length_b 3.209
_cell_length_c 10.004
_cell_angle_alpha 90.00
_cell_angle_beta 129.63
_cell_angle_gamma 90.00
loop_
_symmetry_equiv_pos_as_xyz
'x,y,z'
'-x,-y,-z'
'-x,y,-z'
'x,-y,z'
'x+1/2,y+1/2,z'
'-x+1/2,-y+1/2,-z'
'-x+1/2,y+1/2,-z'
'x+1/2,-y+1/2,z'
loop_
_atom_site_label
_atom_site_fract_x
_atom_site_fract_y
_atom_site_fract_z
Mg1 0.185 0.000 0.200
W1 0.136 0.000 0.451
W2 0.145 0.500 0.818
O1 0.037 0.000 0.760
O2 0.143 0.500 0.598
O3 0.171 0.500 0.328
O4 0.218 0.500 0.094

no.,calculated volume (Å³/cell),raw total energy (eV per cell)
1,264.0,-126.31
2,384.9,-192.00